VASP calculation (PBE-GGA) on a geometry-optimized PaCdAu2 structure.

Output
The calculation puts the energy of formation at -0.36 eV/atom.

The structure in CIF format:
```
data_PaCdAu2
_chemical_formula_sum 'Pa4 Cd4 Au8'
_space_group_name_H-M_alt 'F m -3 m'
_space_group_IT_number 225
_space_group_name_Hall '-F 4 2 3'
_cell_length_a 7.029
_cell_length_b 7.029
_cell_length_c 7.029
_cell_angle_alpha 90.00
_cell_angle_beta 90.00
_cell_angle_gamma 90.00
loop_
_atom_site_label
_atom_site_type_symbol
_atom_site_fract_x
_atom_site_fract_y
_atom_site_fract_z
_atom_site_occupancy
Pa1 Pa 0.000 0.000 0.000 1
Cd1 Cd 0.000 0.000 0.500 1
Au1 Au 0.250 0.250 0.250 1
```